# 1
# Er2SiGe

Crystalline Er2SiGe at its relaxed geometry (meta-GGA r2SCAN, Materials Project).

Cell: 3.846 4.216 10.487 Å, 90.00 90.00 90.00°
Space group Amm2 (No. 38)
Inequivalent atoms, fractional coordinates:
Er  0.000  0.000  0.000 (multiplicity 2)
Er  0.500  0.000  0.280 (multiplicity 2)
Si  0.500  0.000  0.557 (multiplicity 2)
Ge  0.000  0.000  0.720 (multiplicity 2)

## Properties
crystal system: orthorhombic
E_form: -0.909 eV/atom



# 2
# Gd2MgGe2

Crystalline Gd2MgGe2 at its relaxed geometry (meta-GGA r2SCAN, Materials Project).

Cell: 7.311 7.311 4.285 Å, 90.00 90.00 90.00°
Space group P4/mbm (No. 127)
Inequivalent atoms, fractional coordinates:
Gd  0.178  0.322  0.000 (multiplicity 4)
Mg  0.000  0.000  0.500 (multiplicity 2)
Ge  0.122  0.622  0.500 (multiplicity 4)

## Properties
crystal system: tetragonal
E_form: -0.823 eV/atom



# 3
# PmSmHg2

Crystalline PmSmHg2 at its relaxed geometry (meta-GGA r2SCAN, Materials Project).

Cell: 7.563 7.563 7.563 Å, 90.00 90.00 90.00°
Space group Fm-3m (No. 225)
Inequivalent atoms, fractional coordinates:
Pm  0.000  0.000  0.000 (multiplicity 4)
Sm  0.000  0.000  0.500 (multiplicity 4)
Hg  0.250  0.250  0.250 (multiplicity 8)

## Properties
crystal system: cubic
E_form: -0.563 eV/atom



# 4
# Ba2CdHg

Crystalline Ba2CdHg at its relaxed geometry (meta-GGA r2SCAN, Materials Project).

Cell: 8.436 8.436 8.436 Å, 90.00 90.00 90.00°
Space group Fm-3m (No. 225)
Inequivalent atoms, fractional coordinates:
Ba  0.250  0.250  0.250 (multiplicity 8)
Cd  0.000  0.000  0.000 (multiplicity 4)
Hg  0.000  0.000  0.500 (multiplicity 4)

## Properties
crystal system: cubic
E_form: -0.407 eV/atom



Q: Look up the E_form of the first one.
A: -0.909 eV/atom



Copy entry 1 word for word.
# Er2SiGe

Crystalline Er2SiGe at its relaxed geometry (meta-GGA r2SCAN, Materials Project).

Cell: 3.846 4.216 10.487 Å, 90.00 90.00 90.00°
Space group Amm2 (No. 38)
Inequivalent atoms, fractional coordinates:
Er  0.000  0.000  0.000 (multiplicity 2)
Er  0.500  0.000  0.280 (multiplicity 2)
Si  0.500  0.000  0.557 (multiplicity 2)
Ge  0.000  0.000  0.720 (multiplicity 2)

## Properties
crystal system: orthorhombic
E_form: -0.909 eV/atom



Q: Which formula does entry 1 have?
A: Er2SiGe